Computed, not measured: Ce5Ge2Rh after structural relaxation at the PBE level of DFT.

The structure in POSCAR format:
```
Ce5Ge2Rh
1.0
7.850 0.000 0.000
0.000 8.813 0.000
0.000 0.000 11.798
Ce Ge Rh
20 8 4
Direct
0.799 0.039 0.569
0.701 0.039 0.069
0.659 0.750 0.785
0.299 0.961 0.931
0.359 0.750 0.208
0.641 0.250 0.792
0.341 0.250 0.215
0.201 0.961 0.431
0.859 0.250 0.292
0.159 0.250 0.715
0.299 0.539 0.931
0.470 0.250 0.498
0.141 0.750 0.708
0.530 0.750 0.502
0.799 0.461 0.569
0.701 0.461 0.069
0.970 0.750 0.002
0.201 0.539 0.431
0.841 0.750 0.285
0.030 0.250 0.998
0.073 0.504 0.173
0.573 0.496 0.327
0.427 0.504 0.673
0.427 0.996 0.673
0.073 0.996 0.173
0.927 0.496 0.827
0.927 0.004 0.827
0.573 0.004 0.327
0.573 0.750 0.020
0.427 0.250 0.980
0.927 0.750 0.520
0.073 0.250 0.480
```

magnetization	17.48	Bohr magnetons per cell
calculated formation energy	-624	meV per atom
symmetry	No. 62